VASP calculation (GGA+U) on crystalline MnZn4O5 at its relaxed geometry.

Properties
ΔH_f (0 K) = -1.821 eV/atom
corrected total energy (MP2020 scheme) = -5.715 eV/atom

abc: 6.286 6.622 13.125
angles: 75.42 83.09 74.86
Space group P1 (No. 1)
Symmetry-distinct sites (fractional):
Mn 0.000 0.000 0.000 x1
Mn 0.000 0.500 0.000 x1
Mn 0.398 0.200 0.403 x1
Mn 0.399 0.700 0.403 x1
Zn 0.061 0.450 0.570 x1
Zn 0.061 0.950 0.570 x1
Zn 0.199 0.101 0.200 x1
Zn 0.199 0.601 0.200 x1
Zn 0.267 0.051 0.766 x1
Zn 0.267 0.551 0.766 x1
Zn 0.469 0.150 0.965 x1
Zn 0.469 0.650 0.965 x1
Zn 0.601 0.299 0.602 x1
Zn 0.601 0.799 0.602 x1
Zn 0.664 0.250 0.169 x1
Zn 0.664 0.750 0.169 x1
Zn 0.797 0.403 0.799 x1
Zn 0.797 0.903 0.799 x1
Zn 0.870 0.350 0.366 x1
Zn 0.870 0.850 0.366 x1
O 0.102 0.362 0.726 x1
O 0.102 0.862 0.726 x1
O 0.168 0.314 0.288 x1
O 0.168 0.814 0.288 x1
O 0.312 0.461 0.921 x1
O 0.312 0.961 0.921 x1
O 0.365 0.411 0.499 x1
O 0.365 0.911 0.499 x1
O 0.502 0.063 0.123 x1
O 0.503 0.563 0.123 x1
O 0.570 0.013 0.690 x1
O 0.570 0.513 0.690 x1
O 0.710 0.160 0.324 x1
O 0.710 0.660 0.324 x1
O 0.766 0.117 0.887 x1
O 0.766 0.617 0.887 x1
O 0.903 0.262 0.524 x1
O 0.903 0.762 0.524 x1
O 0.966 0.210 0.096 x1
O 0.966 0.710 0.096 x1